TaCrO4: relaxed, PBE with a Hubbard U.

Total DFT energy (no corrections), eV per cell: -108.20
Formation energy from the elements, kJ/mol of formula units: -1693

```
12
Lattice="0.525 -2.967 0.702 6.967 2.581 5.689 -3.090 0.283 3.502" Properties=species:S:1:pos:R:3 pbc="T T T"
O 5.694 2.389 5.831
O 3.862 0.287 5.128
O 4.023 0.908 7.640
Cr 0.721 -2.177 3.890
O 0.378 -1.004 2.284
O 2.211 1.099 2.987
Ta 3.746 -0.189 3.210
O 2.191 -1.193 6.941
O 0.540 -0.382 4.796
O -1.293 -2.484 4.097
Ta 0.262 -1.480 0.366
Cr 4.205 -0.886 6.734
```

Ta2CrO8: relaxed, PBE with a Hubbard U.

Total DFT energy (no corrections), eV per cell: -183.50
Formation energy from the elements, kJ/mol of formula units: -2537
Space-group type: C2/c

```
22
Lattice="-1.440 -6.128 -8.159 -1.412 -9.595 -3.485 -4.951 0.434 0.351" Properties=species:S:1:pos:R:3 pbc="T T T"
Cr -2.660 -8.281 -5.022
O -5.794 -5.383 -6.372
O -3.300 -7.910 -3.433
O -5.244 -13.226 -9.213
O -5.031 -2.387 -1.175
O -2.560 -2.063 -2.080
O -5.836 -7.085 -4.341
O -3.708 -10.363 -8.195
O -1.624 -4.634 -3.959
Cr -5.144 -7.008 -6.271
Ta -3.052 -8.721 -8.613
Ta -2.293 -4.714 -5.646
O -1.968 -8.203 -6.951
O -4.504 -7.378 -7.859
O -3.367 -6.461 -5.651
O -2.773 -12.902 -10.118
Ta -5.511 -10.574 -5.647
O -2.010 -9.905 -4.920
Ta -4.752 -6.567 -2.679
O -4.436 -8.828 -5.642
O -6.180 -10.654 -7.334
O -4.095 -4.926 -3.098
```

TaCrO4: relaxed, PBE with a Hubbard U.

Total DFT energy (no corrections), eV per cell: -215.21
Formation energy from the elements, kJ/mol of formula units: -1664
Space-group type: Pbcn

```
24
Lattice="-0.781 1.494 4.173 8.701 -7.060 4.156 3.336 3.699 -0.700" Properties=species:S:1:pos:R:3 pbc="T T T"
O 4.512 2.455 1.261
O 3.020 1.902 3.443
O 7.345 -1.578 5.662
O 0.180 1.016 3.268
O 5.213 0.150 4.605
O 4.517 -2.488 5.419
Ta 2.770 2.987 1.876
O 8.889 -1.125 3.199
O 1.679 1.539 1.019
O 8.235 -3.769 4.186
Cr 4.913 1.249 2.900
O 6.739 0.622 2.210
O 9.577 -3.405 6.610
Cr 1.602 1.162 4.738
Cr 6.343 -3.115 4.730
O 2.367 -0.742 4.431
O 6.043 -2.017 3.025
O 6.744 -4.322 6.369
Ta 7.511 -1.290 1.868
Ta 8.485 -4.853 5.753
O 11.076 -2.882 4.361
Ta 4.525 -2.070 1.588
O 3.911 -0.289 1.968
Cr 9.654 -3.028 2.891
```

Ta8Cr3O24: relaxed, PBE with a Hubbard U.

Total DFT energy (no corrections), eV per cell: -326.63
Formation energy from the elements, kJ/mol of formula units: -10279
Space-group type: Imm2

```
35
Lattice="-3.371 3.387 9.284 3.371 -3.387 9.284 3.371 3.387 -9.284" Properties=species:S:1:pos:R:3 pbc="T T T"
O 2.016 3.387 -3.044
O 3.371 1.292 1.529
O 0.000 2.031 7.707
Ta 0.000 0.000 1.566
O 0.000 2.061 4.751
Ta 0.000 3.387 0.009
O 1.891 3.387 3.316
O 1.479 0.000 12.600
O 1.303 0.000 3.052
Ta 3.371 0.000 2.832
O 1.926 3.387 -0.198
Ta 3.371 0.000 6.016
O 0.000 4.713 4.751
Ta 0.000 0.000 16.986
O 3.371 1.356 -1.578
O -2.087 3.387 9.281
O 2.034 3.387 6.266
Cr 0.000 0.000 13.793
O 3.371 1.346 7.726
Ta 0.000 3.387 3.196
O -2.034 3.387 6.266
O 5.438 0.000 3.052
Cr 3.371 0.000 0.002
O 0.000 2.095 10.813
O 2.087 3.387 9.281
Ta 0.000 3.387 6.213
O 1.444 0.000 9.086
O 1.354 0.000 6.241
O 0.000 4.724 1.509
O 3.371 1.331 4.667
Ta 0.000 0.000 7.849
O 3.371 -1.331 4.667
O 3.371 -1.346 7.726
Cr 0.000 0.000 4.693
O 0.000 2.050 1.509
```

TaZn2CrO6: relaxed, PBE with a Hubbard U.

Total DFT energy (no corrections), eV per cell: -143.12
Formation energy from the elements, kJ/mol of formula units: -2312
Space-group type: P2_1/m

```
20
Lattice="-7.243 -1.452 2.074 -1.096 -1.520 -4.892 1.342 -5.012 1.178" Properties=species:S:1:pos:R:3 pbc="T T T"
Zn -5.254 -4.604 -0.283
Ta -2.951 -3.232 1.626
Zn -1.743 -3.380 -1.357
Cr -0.548 -0.760 -2.446
Zn -5.421 -1.202 1.515
O -4.616 -6.291 0.763
O -4.405 -3.471 -1.789
O -0.408 -1.267 -0.498
Zn -1.576 -6.782 -3.155
O -3.893 -6.177 -1.914
O -2.018 -4.514 -3.112
O -2.381 -1.693 -2.404
O -3.104 -1.807 0.274
O -7.092 -4.009 -1.019
O -4.979 -3.470 1.472
O -6.590 -6.717 -1.142
O 0.094 -3.975 -0.621
Ta 0.671 -2.506 0.589
Cr -4.170 -1.486 -1.409
O -2.592 -4.513 0.149
```

CrTcO3: relaxed, PBE with a Hubbard U.

Total DFT energy (no corrections), eV per cell: -37.80
Formation energy from the elements, kJ/mol of formula units: -676
Space-group type: Pm-3m

```
5
Lattice="3.893 0.000 0.000 0.000 3.893 0.000 0.000 0.000 3.893" Properties=species:S:1:pos:R:3 pbc="T T T"
O 1.946 1.946 0.000
Cr 0.000 0.000 0.000
Tc 1.946 1.946 1.946
O 0.000 1.946 1.946
O 1.946 0.000 1.946
```

Cr2Te4O11: relaxed, PBE with a Hubbard U.

Total DFT energy (no corrections), eV per cell: -209.07
Formation energy from the elements, kJ/mol of formula units: -2874
Space-group type: P2_1/c

```
34
Lattice="-7.191 -2.603 1.197 2.536 -6.595 0.893 1.572 0.163 9.802" Properties=species:S:1:pos:R:3 pbc="T T T"
Cr 3.113 -4.358 9.281
Te -3.763 -2.572 4.088
O -0.900 -1.532 6.903
O -2.295 -7.747 10.039
O 2.287 -5.437 7.796
O -3.704 -5.635 8.997
Te -4.487 -3.038 9.241
Te 1.404 -5.997 2.651
Te -3.558 -6.578 7.378
O 2.610 -5.779 10.596
Te -2.760 -6.086 2.214
O -2.308 -5.287 6.663
O -0.305 -3.939 8.080
O -5.370 -3.598 4.095
O 0.621 -3.400 2.894
Te -0.323 -2.949 9.678
O -0.788 -1.288 1.852
O -4.680 -5.943 2.026
O -3.461 -2.650 5.955
Te 0.475 -2.457 4.513
O -2.183 -7.503 4.988
O -2.328 -4.599 1.045
O -0.406 -6.208 3.213
O -0.776 -3.747 5.229
O 1.597 -3.092 9.866
O 0.378 -6.385 5.936
Te 0.680 -6.462 7.803
O -5.693 -3.255 1.295
Cr -1.830 -3.299 6.915
O -2.677 -2.826 8.679
O 2.054 -3.216 5.347
Cr -6.196 -4.677 2.610
Cr -1.253 -5.735 4.976
O -2.778 -5.096 3.811
```

Cr3TeO8: relaxed, PBE with a Hubbard U.

Total DFT energy (no corrections), eV per cell: -166.90
Formation energy from the elements, kJ/mol of formula units: -2244
Space-group type: P6_3mc

```
24
Lattice="-0.671 -2.808 -5.237 -0.276 -3.095 5.109 -9.058 1.444 0.386" Properties=species:S:1:pos:R:3 pbc="T T T"
O -3.591 -2.459 0.297
O -1.156 -1.359 -0.885
O -5.750 -2.184 3.560
O -5.617 -0.686 1.088
O -3.711 -3.803 2.515
Cr -6.734 -0.458 -0.640
Te -9.511 -1.474 -1.405
Te -4.851 -2.291 1.850
O -3.328 -2.385 -5.123
O -3.300 -1.241 2.570
Cr -2.138 -1.229 0.933
Cr -2.600 -4.108 0.871
O -1.481 -2.718 -3.419
O -7.185 1.145 0.306
O -6.054 -2.025 -1.553
O -1.393 -2.842 1.703
O -6.075 -3.543 1.026
O -1.614 -4.215 -0.947
Cr -2.272 -2.739 3.426
O -8.018 -0.382 -2.182
Cr -7.061 -1.828 -3.195
Cr -7.196 -3.338 -0.702
O -8.429 -2.944 -2.238
O -8.137 -1.725 0.035
```

Cr5Te3O18: relaxed, PBE with a Hubbard U.

Total DFT energy (no corrections), eV per cell: -338.25
Formation energy from the elements, kJ/mol of formula units: -4316
Space-group type: C2

```
52
Lattice="4.296 7.244 0.000 -4.296 7.244 0.000 0.000 1.217 10.385" Properties=species:S:1:pos:R:3 pbc="T T T"
O -1.267 9.577 8.397
Cr 0.179 5.340 2.943
O 3.092 6.264 4.685
O 0.135 11.667 8.988
O 1.607 6.061 2.032
O -2.645 9.012 5.950
Cr -1.313 5.021 0.228
O -1.319 4.869 9.192
O 1.404 4.250 4.082
Cr -1.129 7.853 5.193
O -1.042 3.839 3.786
O -2.559 8.393 0.761
O -1.042 11.866 6.600
O -2.645 6.693 4.435
O -2.559 7.312 9.624
O 1.934 10.896 1.074
O 0.323 13.780 1.829
O 3.096 8.587 0.570
Cr -1.090 2.551 2.219
O -1.221 8.571 3.359
O -1.221 7.135 7.026
O 0.265 6.502 4.580
Te -2.627 8.143 7.739
Te 1.551 5.522 5.681
Cr 0.328 12.877 5.458
O 0.265 9.203 5.805
O 0.367 14.008 7.103
Te -2.627 7.562 2.646
Cr 0.179 10.365 7.443
O 1.607 9.644 8.353
Cr -4.072 7.244 0.000
O 1.934 4.809 9.312
O 0.323 1.925 8.557
O 3.096 7.118 9.816
Cr -1.090 13.154 8.167
Cr -1.313 10.685 10.157
O 0.293 8.801 0.462
Te 1.798 10.814 9.915
O 0.293 6.904 9.924
Cr 0.328 2.829 4.928
O 1.719 6.687 7.153
O 3.092 9.441 5.700
O 0.386 11.519 4.033
O -1.267 6.128 1.989
O -1.319 10.836 1.193
O 1.719 9.018 3.232
Te 1.551 10.183 4.704
O 0.386 4.186 6.352
Te 1.798 4.891 0.471
O 0.367 1.697 3.282
O 0.135 4.038 1.397
O 1.404 11.456 6.303
```

V3Cr3Te2O16: relaxed, PBE with a Hubbard U.

Total DFT energy (no corrections), eV per cell: -168.54
Formation energy from the elements, kJ/mol of formula units: -4725
Space-group type: Cm

```
24
Lattice="0.457 -2.096 5.504 5.335 -0.795 2.410 -0.113 8.756 3.503" Properties=species:S:1:pos:R:3 pbc="T T T"
Cr 0.953 2.069 2.373
O 1.911 2.506 4.065
V 4.703 4.402 9.264
Cr 4.502 5.527 6.653
Cr 2.120 4.892 8.164
V 1.225 0.936 4.991
Te 1.924 -0.921 2.645
O 2.769 -0.061 4.340
O 3.499 6.989 5.668
O 4.750 1.084 7.942
O 5.292 3.879 7.497
O 4.523 2.144 5.266
O 2.568 0.942 1.965
O 3.160 3.311 8.849
O 0.433 0.373 3.319
V 3.521 1.548 3.534
O 1.101 6.349 7.189
O 0.865 7.416 4.480
O 5.696 3.276 10.355
Te 3.787 2.534 7.035
O 2.948 4.309 6.458
O 5.764 -1.058 8.641
O 3.812 5.864 8.474
O 2.142 1.509 6.776
```

V3Cr3Te2O16: relaxed, PBE with a Hubbard U.

Total DFT energy (no corrections), eV per cell: -169.14
Formation energy from the elements, kJ/mol of formula units: -4782
Space-group type: P1

```
24
Lattice="-3.912 2.519 -3.762 -1.562 -4.937 3.057 -3.036 5.306 6.939" Properties=species:S:1:pos:R:3 pbc="T T T"
Cr -3.745 3.743 4.142
O -2.996 1.865 4.541
V -5.666 5.036 2.396
O -4.534 -0.614 -0.421
V -4.561 -1.244 1.602
Cr -2.607 -2.566 3.330
O -3.782 1.760 -1.888
O -6.338 -0.838 1.388
O -6.346 6.671 1.811
O -3.774 -0.504 6.014
O -5.639 0.734 4.231
O -2.780 -1.868 1.488
O -2.030 -0.676 3.780
O -1.890 0.533 -0.105
O -5.333 3.452 5.353
O -4.674 5.568 4.002
V -6.471 2.618 3.853
Te -6.111 5.294 5.402
Cr -1.841 -0.147 1.835
O -4.423 -1.664 3.516
O -3.765 0.471 2.198
Te -3.798 0.140 4.199
O -7.043 4.595 3.739
O -5.014 3.309 2.666
```